# Li3V4P6O24

Li3V4P6O24 after structural relaxation (PBE with a Hubbard U, the Materials Project database).

Cell lengths 8.507, 8.534, 8.576 Å; angles 60.64, 60.88, 60.98 degrees
Fractional positions:
Li 0.000 0.000 0.000
Li 0.259 0.628 0.841
Li 0.522 0.491 0.481
V 0.143 0.128 0.146
V 0.370 0.353 0.353
V 0.650 0.630 0.641
V 0.863 0.857 0.850
P 0.054 0.449 0.748
P 0.257 0.951 0.534
P 0.459 0.742 0.036
P 0.547 0.237 0.966
P 0.754 0.037 0.459
P 0.968 0.530 0.248
O 0.005 0.364 0.194
O 0.034 0.615 0.795
O 0.075 0.259 0.915
O 0.098 0.932 0.733
O 0.136 0.496 0.298
O 0.188 0.982 0.383
O 0.242 0.427 0.580
O 0.269 0.907 0.061
O 0.320 0.114 0.486
O 0.384 0.169 0.022
O 0.413 0.754 0.559
O 0.453 0.580 0.230
O 0.474 0.684 0.886
O 0.521 0.299 0.122
O 0.541 0.407 0.779
O 0.593 0.231 0.441
O 0.634 0.798 0.978
O 0.691 0.875 0.510
O 0.742 0.077 0.940
O 0.778 0.551 0.409
O 0.821 0.005 0.616
O 0.884 0.486 0.705
O 0.916 0.050 0.265
O 0.961 0.717 0.073

Output
M_tot: 5.0 μB per formula unit
SG: P1 (1)
Formation energy: -2666 meV/atom

=====

# Li3V3P8O29

Li3V3P8O29 after structural relaxation (PBE with a Hubbard U, the Materials Project database).

Cell lengths 9.764, 9.764, 14.300 Å; angles 90.56, 90.56, 59.74 degrees
Fractional positions:
Li 0.032 0.032 0.258
Li 0.271 0.056 0.808
Li 0.272 0.642 0.304
Li 0.358 0.728 0.696
Li 0.944 0.729 0.192
Li 0.968 0.968 0.742
V 0.041 0.394 0.505
V 0.043 0.519 0.994
V 0.481 0.957 0.006
V 0.482 0.518 0.500
V 0.606 0.959 0.495
V 0.609 0.391 0.000
P 0.126 0.185 0.092
P 0.127 0.656 0.592
P 0.265 0.646 0.089
P 0.270 0.045 0.591
P 0.344 0.873 0.408
P 0.354 0.735 0.911
P 0.369 0.296 0.384
P 0.377 0.288 0.882
P 0.704 0.631 0.616
P 0.712 0.623 0.118
P 0.737 0.176 0.590
P 0.738 0.044 0.091
P 0.815 0.874 0.908
P 0.824 0.263 0.410
P 0.955 0.730 0.409
P 0.956 0.262 0.909
O 0.037 0.727 0.320
O 0.038 0.162 0.002
O 0.044 0.165 0.827
O 0.049 0.761 0.673
O 0.051 0.752 0.495
O 0.053 0.171 0.178
O 0.119 0.502 0.582
O 0.120 0.345 0.077
O 0.121 0.617 0.083
O 0.127 0.216 0.586
O 0.225 0.298 0.433
O 0.227 0.437 0.929
O 0.239 0.951 0.327
O 0.244 0.756 0.000
O 0.248 0.949 0.505
O 0.258 0.726 0.180
O 0.273 0.963 0.680
O 0.274 0.742 0.820
O 0.302 0.051 0.080
O 0.305 0.614 0.587
O 0.360 0.311 0.281
O 0.368 0.296 0.779
O 0.370 0.446 0.428
O 0.372 0.142 0.922
O 0.383 0.879 0.917
O 0.386 0.695 0.413
O 0.423 0.488 0.074
O 0.424 0.048 0.573
O 0.498 0.881 0.418
O 0.512 0.577 0.926
O 0.519 0.147 0.424
O 0.522 0.292 0.928
O 0.554 0.630 0.572
O 0.563 0.773 0.071
O 0.579 0.043 0.079
O 0.580 0.339 0.577
O 0.655 0.880 0.923
O 0.661 0.420 0.423
O 0.689 0.640 0.719
O 0.694 0.044 0.577
O 0.699 0.218 0.085
O 0.702 0.775 0.567
O 0.704 0.632 0.221
O 0.708 0.478 0.072
O 0.782 0.301 0.915
O 0.784 0.873 0.414
O 0.828 0.159 0.676
O 0.829 0.947 0.822
O 0.835 0.956 0.173
O 0.838 0.962 0.998
O 0.841 0.172 0.324
O 0.842 0.158 0.500
O 0.853 0.481 0.576
O 0.858 0.628 0.078
O 0.949 0.698 0.920
O 0.952 0.576 0.427
O 0.956 0.306 0.423
O 0.957 0.421 0.921

Output
M_tot: 0.0 μB per formula unit
SG: C2 (5)
Formation energy: -2527 meV/atom

=====

no.,relative energy among the computed polymorphs (meV per atom)
1,0
2,6